Record 1
Below is a geometry-optimized ThTi3 structure, with properties calculated at the GGA-PBE level.

Summary:
ΔH_f (0 K), eV/atom: 0.16
DFT total energy, Ha/atom: -0.280

a = 4.8421 Å, b = 4.8421 Å, c = 4.8421 Å
α = 60.00°, β = 60.00°, γ = 60.00°
Closest atoms and distances in Å follow each position.
Sites, in units of the cell vectors:
Th1 0.0000 0.0000 0.0000  8 Ti 2.97
Ti1 0.2500 0.2500 0.2500  4 Th 2.97, 4 Ti 2.97
Ti2 0.7500 0.7500 0.7500  4 Ti 2.97, 4 Th 2.97
Ti3 0.5000 0.5000 0.5000  8 Ti 2.97


Record 2
Below is a geometry-optimized ThTl structure, with properties calculated at the GGA-PBE level.

Summary:
ΔH_f (0 K), eV/atom: -0.16
DFT total energy, Ha/atom: -0.185

a = 6.5836 Å, b = 10.0237 Å, c = 10.9582 Å
α = 90.00°, β = 90.00°, γ = 90.00°
Closest atoms and distances in Å follow each position.
Sites, in units of the cell vectors:
Th1 0.0000 0.7500 0.6093  2 Th 3.29, 6 Tl 3.35-3.44
Th2 0.5000 0.2500 0.3907  2 Th 3.29, 6 Tl 3.35-3.44
Th3 0.0000 0.2500 0.3907  2 Th 3.29, 6 Tl 3.35-3.44
Th4 0.5000 0.7500 0.6093  2 Th 3.29, 6 Tl 3.35-3.44
Th5 0.7500 0.6307 0.3150  6 Tl 3.17-3.53
Th6 0.2500 0.3693 0.6850  6 Tl 3.17-3.53
Th7 0.7500 0.1307 0.6850  6 Tl 3.17-3.53
Th8 0.2500 0.8693 0.3150  6 Tl 3.17-3.53
Th9 0.7500 0.5355 0.8852  9 Tl 3.31-3.44
Th10 0.2500 0.4645 0.1148  9 Tl 3.31-3.44
Th11 0.7500 0.0355 0.1148  9 Tl 3.31-3.44
Th12 0.2500 0.9645 0.8852  9 Tl 3.31-3.44
Tl1 0.0000 0.7500 0.0776  4 Tl 3.22-3.29, 6 Th 3.30-3.43
Tl2 0.5000 0.2500 0.9224  4 Tl 3.22-3.29, 6 Th 3.30-3.43
Tl3 0.0000 0.2500 0.9224  4 Tl 3.22-3.29, 6 Th 3.30-3.43
Tl4 0.5000 0.7500 0.0776  4 Tl 3.22-3.29, 6 Th 3.30-3.43
Tl5 0.7500 0.9494 0.4067  9 Th 3.31-3.55
Tl6 0.2500 0.0506 0.5933  9 Th 3.31-3.55
Tl7 0.7500 0.4494 0.5933  9 Th 3.31-3.55
Tl8 0.2500 0.5506 0.4067  9 Th 3.31-3.55
Tl9 0.7500 0.8723 0.8514  7 Th 3.17-3.44, 2 Tl 3.22
Tl10 0.2500 0.1277 0.1486  7 Th 3.17-3.44, 2 Tl 3.22
Tl11 0.7500 0.3723 0.1486  7 Th 3.17-3.44, 2 Tl 3.22
Tl12 0.2500 0.6277 0.8514  7 Th 3.17-3.44, 2 Tl 3.22


Record 3
Below is a geometry-optimized ThTl3 structure, with properties calculated at the GGA-PBE level.

Summary:
ΔH_f (0 K), eV/atom: -0.16
DFT total energy, Ha/atom: -0.139

a = 4.8418 Å, b = 4.8418 Å, c = 4.8418 Å
α = 90.00°, β = 90.00°, γ = 90.00°
Closest atoms and distances in Å follow each position.
Sites, in units of the cell vectors:
Th1 0.0000 0.0000 0.0000  12 Tl 3.42
Tl1 0.5000 0.0000 0.5000  8 Tl 3.42, 4 Th 3.42
Tl2 0.0000 0.5000 0.5000  4 Th 3.42, 8 Tl 3.42
Tl3 0.5000 0.5000 0.0000  8 Tl 3.42, 4 Th 3.42


Record 4
Below is a geometry-optimized Th2Tl structure, with properties calculated at the GGA-PBE level.

Summary:
ΔH_f (0 K), eV/atom: -0.07
DFT total energy, Ha/atom: -0.213

a = 6.3677 Å, b = 6.3677 Å, c = 6.3677 Å
α = 103.12°, β = 103.12°, γ = 123.10°
Closest atoms and distances in Å follow each position.
Sites, in units of the cell vectors:
Th1 0.1531 0.6531 0.8061  4 Tl 3.36, 3 Th 3.43-3.73
Th2 0.8469 0.3469 0.1939  4 Tl 3.36, 3 Th 3.43-3.73
Th3 0.3469 0.1531 0.5000  4 Tl 3.36, 3 Th 3.43-3.73
Th4 0.6531 0.8469 0.5000  4 Tl 3.36, 3 Th 3.43-3.73
Tl1 0.2500 0.2500 0.0000  2 Tl 3.03, 8 Th 3.36
Tl2 0.7500 0.7500 0.0000  2 Tl 3.03, 8 Th 3.36


Record 5
Below is a geometry-optimized Th5Tl3 structure, with properties calculated at the GGA-PBE level.

Summary:
ΔH_f (0 K), eV/atom: -0.06
DFT total energy, Ha/atom: -0.205

a = 6.3833 Å, b = 9.5513 Å, c = 9.5513 Å
α = 120.00°, β = 90.00°, γ = 90.00°
Closest atoms and distances in Å follow each position.
Sites, in units of the cell vectors:
Th1 0.0000 0.6667 0.3333  2 Th 3.19, 6 Tl 3.36
Th2 0.0000 0.3333 0.6667  2 Th 3.19, 6 Tl 3.36
Th3 0.5000 0.3333 0.6667  2 Th 3.19, 6 Tl 3.36
Th4 0.5000 0.6667 0.3333  2 Th 3.19, 6 Tl 3.36
Th5 0.7500 0.7578 0.7578  5 Tl 3.26-3.51
Th6 0.2500 0.2422 0.2422  5 Tl 3.26-3.51
Th7 0.7500 0.0000 0.2422  5 Tl 3.26-3.51
Th8 0.2500 0.0000 0.7578  5 Tl 3.26-3.51
Th9 0.7500 0.2422 0.0000  5 Tl 3.26-3.51
Th10 0.2500 0.7578 0.0000  5 Tl 3.26-3.51
Tl1 0.7500 0.3898 0.3898  9 Th 3.26-3.51
Tl2 0.2500 0.6102 0.6102  9 Th 3.26-3.51
Tl3 0.7500 0.0000 0.6102  9 Th 3.26-3.51
Tl4 0.2500 0.0000 0.3898  9 Th 3.26-3.51
Tl5 0.7500 0.6102 0.0000  9 Th 3.26-3.51
Tl6 0.2500 0.3898 0.0000  9 Th 3.26-3.51


Record 6
Below is a geometry-optimized Th3Tl5 structure, with properties calculated at the GGA-PBE level.

Summary:
ΔH_f (0 K), eV/atom: -0.15
DFT total energy, Ha/atom: -0.162

a = 6.7365 Å, b = 6.7365 Å, c = 10.4656 Å
α = 90.00°, β = 90.00°, γ = 102.29°
Closest atoms and distances in Å follow each position.
Sites, in units of the cell vectors:
Th1 0.6144 0.6144 0.2500  7 Tl 3.18-3.42
Th2 0.3856 0.3856 0.7500  7 Tl 3.18-3.42
Th3 0.7935 0.2065 0.5000  10 Tl 3.30-3.55
Th4 0.7935 0.2065 0.0000  10 Tl 3.30-3.55
Th5 0.2065 0.7935 0.5000  10 Tl 3.30-3.55
Th6 0.2065 0.7935 0.0000  10 Tl 3.30-3.55
Tl1 0.0052 0.0052 0.2500  6 Tl 3.28-3.49, 5 Th 3.30-3.40
Tl2 0.9948 0.9948 0.7500  6 Tl 3.28-3.49, 5 Th 3.30-3.40
Tl3 0.2994 0.2994 0.0453  4 Tl 3.17-3.52, 6 Th 3.18-3.55
Tl4 0.7006 0.7006 0.9547  4 Tl 3.17-3.52, 6 Th 3.18-3.55
Tl5 0.2994 0.2994 0.4547  4 Tl 3.17-3.52, 6 Th 3.18-3.55
Tl6 0.7006 0.7006 0.5453  4 Tl 3.17-3.52, 6 Th 3.18-3.55
Tl7 0.0562 0.5009 0.2500  4 Tl 3.17-3.49, 5 Th 3.23-3.52
Tl8 0.4991 0.9438 0.7500  4 Tl 3.17-3.49, 5 Th 3.23-3.52
Tl9 0.9438 0.4991 0.7500  4 Tl 3.17-3.49, 5 Th 3.23-3.52
Tl10 0.5009 0.0562 0.2500  4 Tl 3.17-3.49, 5 Th 3.23-3.52


Record 7
Below is a geometry-optimized TmTh3 structure, with properties calculated at the GGA-PBE level.

Summary:
ΔH_f (0 K), eV/atom: 0.03
DFT total energy, Ha/atom: -0.244

a = 5.0371 Å, b = 5.0371 Å, c = 5.0371 Å
α = 90.00°, β = 90.00°, γ = 90.00°
Closest atoms and distances in Å follow each position.
Sites, in units of the cell vectors:
Tm1 0.5000 0.5000 0.5000  12 Th 3.56
Th1 0.5000 0.0000 0.0000  8 Th 3.56, 4 Tm 3.56
Th2 0.0000 0.5000 0.0000  8 Th 3.56, 4 Tm 3.56
Th3 0.0000 0.0000 0.5000  8 Th 3.56, 4 Tm 3.56


Record 8
Below is a geometry-optimized Th3U structure, with properties calculated at the GGA-PBE level.

Summary:
ΔH_f (0 K), eV/atom: 0.24
DFT total energy, Ha/atom: -0.299

a = 4.9261 Å, b = 4.9261 Å, c = 4.9261 Å
α = 90.00°, β = 90.00°, γ = 90.00°
Closest atoms and distances in Å follow each position.
Sites, in units of the cell vectors:
Th1 0.0000 0.5000 0.5000  8 Th 3.48, 4 U 3.48
Th2 0.5000 0.0000 0.5000  8 Th 3.48, 4 U 3.48
Th3 0.5000 0.5000 0.0000  8 Th 3.48, 4 U 3.48
U1 0.0000 0.0000 0.0000  12 Th 3.48


Record 9
Below is a geometry-optimized Th3V structure, with properties calculated at the GGA-PBE level.

Summary:
ΔH_f (0 K), eV/atom: 0.36
DFT total energy, Ha/atom: -0.275

a = 6.8848 Å, b = 6.8848 Å, c = 5.4876 Å
α = 90.00°, β = 90.00°, γ = 120.00°
Closest atoms and distances in Å follow each position.
Sites, in units of the cell vectors:
Th1 0.1771 0.3542 0.2500  6 Th 3.23-3.46, 4 V 3.32-3.44
Th2 0.6458 0.8229 0.2500  6 Th 3.23-3.46, 4 V 3.32-3.44
Th3 0.1771 0.8229 0.2500  6 Th 3.23-3.46, 4 V 3.32-3.44
Th4 0.8229 0.6458 0.7500  6 Th 3.23-3.46, 4 V 3.32-3.44
Th5 0.3542 0.1771 0.7500  6 Th 3.23-3.46, 4 V 3.32-3.44
Th6 0.8229 0.1771 0.7500  6 Th 3.23-3.46, 4 V 3.32-3.44
V1 0.3333 0.6667 0.7500  12 Th 3.32-3.44
V2 0.6667 0.3333 0.2500  12 Th 3.32-3.44


Record 10
Below is a geometry-optimized Y3Th structure, with properties calculated at the GGA-PBE level.

Summary:
ΔH_f (0 K), eV/atom: 0.05
DFT total energy, Ha/atom: -0.244

a = 7.2333 Å, b = 7.2333 Å, c = 5.8106 Å
α = 90.00°, β = 90.00°, γ = 120.00°
Closest atoms and distances in Å follow each position.
Sites, in units of the cell vectors:
Y1 0.1681 0.3361 0.2500  4 Th 3.57-3.62, 8 Y 3.59-3.65
Y2 0.6639 0.8319 0.2500  4 Th 3.57-3.62, 8 Y 3.59-3.65
Y3 0.1681 0.8319 0.2500  4 Th 3.57-3.62, 8 Y 3.59-3.65
Y4 0.8319 0.6639 0.7500  4 Th 3.57-3.62, 8 Y 3.59-3.65
Y5 0.3361 0.1681 0.7500  4 Th 3.57-3.62, 8 Y 3.59-3.65
Y6 0.8319 0.1681 0.7500  4 Th 3.57-3.62, 8 Y 3.59-3.65
Th1 0.3333 0.6667 0.7500  12 Y 3.57-3.62
Th2 0.6667 0.3333 0.2500  12 Y 3.57-3.62


Record 11
Below is a geometry-optimized Y3Th structure, with properties calculated at the GGA-PBE level.

Summary:
ΔH_f (0 K), eV/atom: 0.06
DFT total energy, Ha/atom: -0.244

a = 6.1737 Å, b = 6.1737 Å, c = 6.1737 Å
α = 131.17°, β = 131.17°, γ = 71.54°
Closest atoms and distances in Å follow each position.
Sites, in units of the cell vectors:
Y1 0.7500 0.2500 0.5000  8 Y 3.58-3.61, 4 Th 3.58
Y2 0.2500 0.7500 0.5000  8 Y 3.58-3.61, 4 Th 3.58
Y3 0.5000 0.5000 0.0000  8 Y 3.58, 4 Th 3.61
Th1 0.0000 0.0000 0.0000  12 Y 3.58-3.61


Record 12
Below is a geometry-optimized ThZn4 structure, with properties calculated at the GGA-PBE level.

Summary:
ΔH_f (0 K), eV/atom: -0.29
DFT total energy, Ha/atom: -0.102

a = 5.9799 Å, b = 5.9799 Å, c = 5.9799 Å
α = 137.89°, β = 137.89°, γ = 61.08°
Closest atoms and distances in Å follow each position.
Sites, in units of the cell vectors:
Th1 0.0000 0.0000 0.0000  16 Zn 3.27-3.35
Zn1 0.6179 0.6179 0.0000  5 Zn 2.43-2.54
Zn2 0.7500 0.2500 0.5000  4 Zn 2.54
Zn3 0.2500 0.7500 0.5000  4 Zn 2.54
Zn4 0.3821 0.3821 0.0000  5 Zn 2.43-2.54